First-principles (GGA-PBE) data for a relaxed Eu2Al3O8 crystal, as listed in the Materials Project database.

E   -0.30351 Ha/atom

Geometry as POSCAR:
```
Eu2Al3O8
1.0
-4.495 4.495 4.495
4.495 -4.495 4.495
4.495 4.495 -4.495
O Eu Al
16 4 6
Cartesian
5.264 -1.249 1.249
1.249 3.727 1.249
-1.249 5.264 1.249
3.727 1.249 1.249
1.249 5.264 -1.249
3.550 3.550 3.550
3.246 -0.769 3.246
-0.945 0.945 0.945
1.249 1.249 3.727
-1.249 1.249 5.264
-0.769 3.246 3.246
1.249 -1.249 5.264
3.246 3.246 -0.769
5.264 1.249 -1.249
0.945 0.945 -0.945
0.945 -0.945 0.945
3.161 -3.161 3.161
-3.161 3.161 3.161
1.334 1.334 1.334
3.161 3.161 -3.161
4.495 2.248 0.000
4.495 0.000 2.248
2.248 0.000 4.495
2.248 4.495 0.000
0.000 4.495 2.248
0.000 2.248 4.495
```